Compound: SiO2
Source: the Materials Project database
Functional: PBE
Structure: optimized geometry

Output
As for the symmetry: No. 223.

```
SiO2
1.0
10.7955 0.0000 0.0000
0.0000 10.7955 0.0000
0.0000 0.0000 10.7955
Si O
24 48
Direct
0.1370 0.2500 0.3630
0.1370 0.2500 0.6370
0.1370 0.7500 0.3630
0.1370 0.7500 0.6370
0.2500 0.3630 0.1370
0.2500 0.3630 0.8630
0.2500 0.6370 0.1370
0.2500 0.6370 0.8630
0.3630 0.1370 0.2500
0.3630 0.1370 0.7500
0.3630 0.8630 0.2500
0.3630 0.8630 0.7500
0.6370 0.1370 0.2500
0.6370 0.1370 0.7500
0.6370 0.8630 0.2500
0.6370 0.8630 0.7500
0.7500 0.3630 0.1370
0.7500 0.3630 0.8630
0.7500 0.6370 0.1370
0.7500 0.6370 0.8630
0.8630 0.2500 0.3630
0.8630 0.2500 0.6370
0.8630 0.7500 0.3630
0.8630 0.7500 0.6370
0.0000 0.1850 0.3517
0.0000 0.1850 0.6483
0.0000 0.8150 0.3517
0.0000 0.8150 0.6483
0.1483 0.3150 0.5000
0.1483 0.6850 0.5000
0.1499 0.3501 0.2500
0.1499 0.3501 0.7500
0.1499 0.6499 0.2500
0.1499 0.6499 0.7500
0.1850 0.3517 0.0000
0.1850 0.6483 0.0000
0.2500 0.1499 0.3501
0.2500 0.1499 0.6499
0.2500 0.8501 0.3501
0.2500 0.8501 0.6499
0.3150 0.5000 0.1483
0.3150 0.5000 0.8517
0.3501 0.2500 0.1499
0.3501 0.2500 0.8501
0.3501 0.7500 0.1499
0.3501 0.7500 0.8501
0.3517 0.0000 0.1850
0.3517 0.0000 0.8150
0.5000 0.1483 0.3150
0.5000 0.1483 0.6850
0.5000 0.8517 0.3150
0.5000 0.8517 0.6850
0.6483 0.0000 0.1850
0.6483 0.0000 0.8150
0.6499 0.2500 0.1499
0.6499 0.2500 0.8501
0.6499 0.7500 0.1499
0.6499 0.7500 0.8501
0.6850 0.5000 0.1483
0.6850 0.5000 0.8517
0.7500 0.1499 0.3501
0.7500 0.1499 0.6499
0.7500 0.8501 0.3501
0.7500 0.8501 0.6499
0.8150 0.3517 0.0000
0.8150 0.6483 0.0000
0.8501 0.3501 0.2500
0.8501 0.3501 0.7500
0.8501 0.6499 0.2500
0.8501 0.6499 0.7500
0.8517 0.3150 0.5000
0.8517 0.6850 0.5000
```

Compound: LiBeH3
Source: the Materials Project database
Functional: PBE
Structure: optimized geometry

Output
As for the symmetry: No. 63. The value obtained for the distance to the lowest polymorph of the same formula is 5.0 meV/atom.

```
LiBeH3
1.0
5.0866 -2.9235 0.0000
5.0866 2.9235 0.0000
0.0000 0.0000 8.3226
Li Be H
6 6 18
Direct
0.0000 0.0000 0.0000
0.0000 0.0000 0.5000
0.3281 0.3281 0.0000
0.3281 0.3281 0.5000
0.6719 0.6719 0.0000
0.6719 0.6719 0.5000
0.0897 0.6655 0.2500
0.3345 0.9103 0.2500
0.4196 0.5804 0.7500
0.5804 0.4196 0.2500
0.6655 0.0897 0.7500
0.9103 0.3345 0.7500
0.0229 0.3344 0.6016
0.0229 0.3344 0.8984
0.0906 0.9094 0.2500
0.3084 0.6916 0.5992
0.3084 0.6916 0.9008
0.3344 0.0229 0.1016
0.3344 0.0229 0.3984
0.3357 0.4208 0.2500
0.4208 0.3357 0.7500
0.5792 0.6643 0.2500
0.6643 0.5792 0.7500
0.6656 0.9771 0.6016
0.6656 0.9771 0.8984
0.6916 0.3084 0.0992
0.6916 0.3084 0.4008
0.9094 0.0906 0.7500
0.9771 0.6656 0.1016
0.9771 0.6656 0.3984
```

Compound: K2Na2Pr2MgNb2O10
Source: the Materials Project database
Functional: PBE
Structure: optimized geometry

Output
As for the symmetry: No. 99. The value obtained for the distance to the lowest polymorph of the same formula is 24.1 meV/atom.

```
K2Na2Pr2MgNb2O10
1.0
5.6960 0.0000 0.0000
0.0000 5.6960 0.0000
0.0000 0.0000 9.4392
K Na Pr Mg Nb O
2 2 2 1 2 10
Direct
0.0000 0.5000 0.0000
0.5000 0.0000 0.0000
0.0000 0.0000 0.1755
0.5000 0.5000 0.7900
0.0000 0.5000 0.4167
0.5000 0.0000 0.4167
0.5000 0.5000 0.5411
0.0000 0.0000 0.6625
0.5000 0.5000 0.2208
0.0000 0.0000 0.8610
0.2393 0.2393 0.5955
0.2393 0.7607 0.5955
0.2564 0.2564 0.2591
0.2564 0.7436 0.2591
0.5000 0.5000 0.0109
0.7436 0.2564 0.2591
0.7436 0.7436 0.2591
0.7607 0.2393 0.5955
0.7607 0.7607 0.5955
```

Compound: ThI2
Source: the Materials Project database
Functional: PBE
Structure: optimized geometry

Output
As for the symmetry: No. 194.

```
ThI2
1.0
3.9698 0.0000 0.0000
-1.9849 3.4379 0.0000
0.0000 0.0000 37.9528
Th I
4 8
Direct
0.0000 0.0000 0.0000
0.0000 0.0000 0.5000
0.3333 0.6667 0.2500
0.6667 0.3333 0.7500
0.0000 0.0000 0.1903
0.0000 0.0000 0.3097
0.0000 0.0000 0.6903
0.0000 0.0000 0.8097
0.3333 0.6667 0.0601
0.3333 0.6667 0.4399
0.6667 0.3333 0.5601
0.6667 0.3333 0.9399
```

Compound: Mg6MnW
Source: the Materials Project database
Functional: PBE
Structure: optimized geometry

Output
The value obtained for the distance to the lowest polymorph of the same formula is 0.0 meV/atom.

```
Mg6MnW
1.0
4.7458 0.0000 0.0000
0.0000 5.9351 0.0000
0.0000 0.0000 10.9340
Mg Mn W
12 2 2
Direct
0.0000 0.7612 0.5804
0.0000 0.7388 0.0804
0.5000 0.2563 0.4228
0.5000 0.7437 0.4228
0.0000 0.2388 0.5804
0.0000 0.2612 0.0804
0.5000 0.0000 0.1705
0.0000 0.5000 0.8283
0.0000 0.0000 0.3283
0.5000 0.7563 0.9228
0.5000 0.2437 0.9228
0.5000 0.5000 0.6705
0.0000 0.0000 0.8034
0.0000 0.5000 0.3034
0.5000 0.0000 0.6914
0.5000 0.5000 0.1914
```

Compound: Zr6Be15Co8
Source: the Materials Project database
Functional: PBE
Structure: optimized geometry

Output
As for the symmetry: No. 225.

```
Zr6Be15Co8
1.0
0.0000 5.5020 5.5020
5.5020 0.0000 5.5020
5.5020 5.5020 0.0000
Zr Be Co
6 15 8
Direct
0.2120 0.2120 0.7880
0.2120 0.7880 0.2120
0.2120 0.7880 0.7880
0.7880 0.2120 0.2120
0.7880 0.2120 0.7880
0.7880 0.7880 0.2120
0.0000 0.0000 0.5000
0.0000 0.5000 0.0000
0.0000 0.5000 0.5000
0.1787 0.1787 0.1787
0.1787 0.1787 0.4638
0.1787 0.4638 0.1787
0.4638 0.1787 0.1787
0.5000 0.0000 0.0000
0.5000 0.0000 0.5000
0.5000 0.5000 0.0000
0.5000 0.5000 0.5000
0.5362 0.8213 0.8213
0.8213 0.5362 0.8213
0.8213 0.8213 0.5362
0.8213 0.8213 0.8213
0.1253 0.6249 0.6249
0.3751 0.3751 0.3751
0.3751 0.3751 0.8747
0.3751 0.8747 0.3751
0.6249 0.1253 0.6249
0.6249 0.6249 0.1253
0.6249 0.6249 0.6249
0.8747 0.3751 0.3751
```

Compound: TbPrO4
Source: the Materials Project database
Functional: PBE
Structure: optimized geometry

Output
As for the symmetry: No. 11.

```
TbPrO4
1.0
3.9860 0.0000 0.0000
0.0000 5.5567 0.0000
-0.6781 0.0000 7.9581
Tb Pr O
2 2 8
Direct
0.2254 0.2500 0.1283
0.7746 0.7500 0.8717
0.2680 0.2500 0.6232
0.7320 0.7500 0.3768
0.2300 0.0088 0.3630
0.2300 0.4912 0.3630
0.2804 0.5063 0.8922
0.2804 0.9937 0.8922
0.7196 0.0063 0.1078
0.7196 0.4937 0.1078
0.7700 0.5088 0.6370
0.7700 0.9912 0.6370
```

Compound: BaSrI4
Source: the Materials Project database
Functional: PBE
Structure: optimized geometry

Output
As for the symmetry: No. 14.

```
BaSrI4
1.0
10.9387 0.0000 0.0000
0.0000 11.3410 0.0000
-8.6524 0.0000 19.1436
Ba Sr I
8 8 32
Direct
0.1892 0.2210 0.3639
0.1892 0.2790 0.8639
0.2529 0.5268 0.6545
0.2529 0.9732 0.1545
0.7471 0.0268 0.8455
0.7471 0.4732 0.3455
0.8108 0.7210 0.1361
0.8108 0.7790 0.6361
0.2194 0.0502 0.5881
0.2194 0.4498 0.0881
0.3401 0.6780 0.4178
0.3401 0.8220 0.9178
0.6599 0.1780 0.0822
0.6599 0.3220 0.5822
0.7806 0.5502 0.9119
0.7806 0.9498 0.4119
0.0368 0.6887 0.0464
0.0368 0.8113 0.5464
0.0964 0.0005 0.8992
0.0964 0.4995 0.3992
0.1684 0.2335 0.6957
0.1684 0.2665 0.1957
0.1781 0.7475 0.2521
0.1781 0.7525 0.7521
0.2767 0.5494 0.9505
0.2767 0.9506 0.4505
0.3502 0.2109 0.0578
0.3502 0.2891 0.5578
0.4877 0.0513 0.3129
0.4877 0.4487 0.8129
0.4956 0.1110 0.9082
0.4956 0.3890 0.4082
0.5044 0.6110 0.5918
0.5044 0.8890 0.0918
0.5123 0.5513 0.1871
0.5123 0.9487 0.6871
0.6498 0.7109 0.4422
0.6498 0.7891 0.9422
0.7233 0.0494 0.5495
0.7233 0.4506 0.0495
0.8219 0.2475 0.2479
0.8219 0.2525 0.7479
0.8316 0.7335 0.8043
0.8316 0.7665 0.3043
0.9036 0.9995 0.1008
0.9036 0.5005 0.6008
0.9632 0.1887 0.4536
0.9632 0.3113 0.9536
```

Compound: Zr3Hg
Source: the Materials Project database
Functional: PBE
Structure: optimized geometry

Output
As for the symmetry: No. 223.

```
Zr3Hg
1.0
5.6099 0.0000 0.0000
0.0000 5.6099 0.0000
0.0000 0.0000 5.6099
Zr Hg
6 2
Direct
0.0000 0.2500 0.5000
0.0000 0.7500 0.5000
0.2500 0.5000 0.0000
0.5000 0.0000 0.2500
0.5000 0.0000 0.7500
0.7500 0.5000 0.0000
0.0000 0.0000 0.0000
0.5000 0.5000 0.5000
```

Compound: Na6Nb5ZnSi6P3O36
Source: the Materials Project database
Functional: PBE
Structure: optimized geometry

Output
As for the symmetry: No. 9.

```
Na6Nb5ZnSi6P3O36
1.0
7.7703 -4.4864 0.0000
7.7703 4.4864 0.0000
-0.1231 0.0000 22.6393
Na Nb Zn Si P O
12 10 2 12 6 72
Direct
0.0060 0.9940 0.5000
0.3044 0.7095 0.9118
0.3256 0.3373 0.6690
0.3373 0.3256 0.1690
0.3486 0.9830 0.7569
0.6335 0.6795 0.3341
0.6795 0.6335 0.8341
0.7066 0.9530 0.9109
0.7095 0.3044 0.4118
0.9530 0.7066 0.4109
0.9830 0.3486 0.2569
0.9940 0.0060 0.0000
0.3188 0.3209 0.5288
0.3209 0.3188 0.0288
0.3229 0.3263 0.3139
0.3263 0.3229 0.8139
0.6559 0.6577 0.9845
0.6572 0.6573 0.1905
0.6573 0.6572 0.6905
0.6577 0.6559 0.4845
0.9862 0.9870 0.1489
0.9870 0.9862 0.6489
0.9962 0.9960 0.3511
0.9960 0.9962 0.8511
0.0343 0.3187 0.4202
0.2798 0.7011 0.7564
0.3187 0.0343 0.9202
0.3659 0.9448 0.5882
0.3665 0.6593 0.0866
0.6593 0.3665 0.5866
0.6589 0.9449 0.0870
0.7011 0.2798 0.2564
0.7078 0.9863 0.7582
0.9448 0.3659 0.0882
0.9449 0.6589 0.5870
0.9863 0.7078 0.2582
0.0355 0.6046 0.9220
0.2811 0.9866 0.2551
0.3262 0.6083 0.4221
0.6046 0.0355 0.4220
0.6083 0.3262 0.9221
0.9866 0.2811 0.7551
0.0056 0.1573 0.4207
0.0146 0.7835 0.9215
0.0168 0.8001 0.2002
0.0232 0.1633 0.7005
0.1274 0.3492 0.3618
0.1281 0.4963 0.8663
0.1333 0.3508 0.0800
0.1360 0.4903 0.5805
0.1470 0.5102 0.9763
0.1529 0.3134 0.4768
0.1562 0.2947 0.7605
0.1573 0.0056 0.9207
0.1567 0.8021 0.6992
0.1586 0.5069 0.2613
0.1633 0.0232 0.2005
0.1653 0.7816 0.4195
0.1767 0.9666 0.5947
0.1805 0.8303 0.0952
0.2134 0.9548 0.3113
0.2208 0.8133 0.8157
0.2947 0.1562 0.2605
0.2958 0.5100 0.7611
0.3134 0.1529 0.9768
0.3151 0.5093 0.4759
0.3480 0.4891 0.0784
0.3492 0.1274 0.8618
0.3508 0.1333 0.5800
0.3530 0.4921 0.3661
0.4591 0.6849 0.0272
0.4665 0.8220 0.5306
0.4658 0.8351 0.2448
0.4742 0.6725 0.7440
0.4832 0.8580 0.6467
0.4891 0.3480 0.5784
0.4903 0.1360 0.0805
0.4921 0.3530 0.8661
0.4921 0.6309 0.1425
0.4963 0.1281 0.3663
0.4966 0.6155 0.4249
0.5030 0.8451 0.9249
0.5069 0.1586 0.7613
0.5093 0.3151 0.9759
0.5102 0.1470 0.4763
0.5100 0.2958 0.2611
0.6155 0.4966 0.9249
0.6197 0.8546 0.4249
0.6309 0.4921 0.6425
0.6331 0.8494 0.1431
0.6691 0.8265 0.7469
0.6725 0.4742 0.2440
0.6828 0.8292 0.0271
0.6849 0.4591 0.5272
0.7816 0.1653 0.9195
0.7835 0.0146 0.4215
0.8001 0.0168 0.7002
0.8021 0.1567 0.1992
0.8076 0.9581 0.8190
0.8133 0.2208 0.3157
0.8220 0.4665 0.0306
0.8265 0.6691 0.2469
0.8292 0.6828 0.5271
0.8303 0.1805 0.5952
0.8304 0.9618 0.0936
0.8351 0.4658 0.7448
0.8451 0.5030 0.4249
0.8494 0.6331 0.6431
0.8546 0.6197 0.9249
0.8580 0.4832 0.1467
0.9548 0.2134 0.8113
0.9581 0.8076 0.3190
0.9618 0.8304 0.5936
0.9666 0.1767 0.0947
```

Compound: TaVB4
Source: the Materials Project database
Functional: PBE
Structure: optimized geometry

Output
As for the symmetry: No. 191.

```
TaVB4
1.0
3.0610 0.0000 0.0000
-1.5305 2.6509 0.0000
0.0000 0.0000 6.3300
Ta V B
1 1 4
Direct
0.0000 0.0000 0.0000
0.0000 0.0000 0.5000
0.3333 0.6667 0.2632
0.3333 0.6667 0.7368
0.6667 0.3333 0.2632
0.6667 0.3333 0.7368
```

DFT total energy values, unit eV/atom, following the record order: -7.851 -3.382 -6.808 -4.553 -3.659 -5.975 -7.528 -3.307 -6.667 -7.484 -8.637.